[1]
{
  "formula": "CuI",
  "functional": "PBE",
  "state": "relaxed",
  "e_ij_max_c_m2": 0.1,
  "lattice": [[-3.018, -3.018, 0.000], [-3.018, 0.000, -3.018], [0.000, -3.018, -3.018]],
  "species": ["Cu", "I"],
  "frac_coords": [[0.250, 0.250, 0.250], [0.500, 0.500, 0.500]]
}

[2]
{
  "formula": "CuI4",
  "functional": "PBE",
  "state": "relaxed",
  "total_magnetization_mub_per_atom": 0.000,
  "lattice": [[6.348, 1.278, 2.327], [1.311, -3.987, 5.453], [-2.385, -1.451, -6.289]],
  "species": ["I", "I", "Cu", "I", "I"],
  "frac_coords": [[0.392, 0.392, 0.524], [0.133, 0.608, 0.000], [0.000, 0.000, 0.000], [0.608, 0.133, 0.000], [0.867, 0.867, 0.476]]
}

[3]
{
  "formula": "CuI",
  "functional": "PBE",
  "state": "relaxed",
  "total_magnetization_mub_per_atom": 0.000,
  "lattice": [[6.956, -2.207, 0.000], [6.956, 2.207, 0.000], [6.255, 0.000, 3.759]],
  "species": ["I", "I", "Cu", "Cu"],
  "frac_coords": [[0.500, 0.500, 0.500], [0.000, 0.000, 0.000], [0.123, 0.123, 0.123], [0.877, 0.877, 0.877]]
}

[4]
{
  "formula": "CuI",
  "functional": "PBE",
  "state": "relaxed",
  "total_magnetization_mub_per_atom": 0.000,
  "lattice": [[-2.075, -2.824, 2.026], [-3.871, -0.726, -0.933], [-1.026, -3.461, -1.832]],
  "species": ["I", "Cu"],
  "frac_coords": [[0.500, 0.500, 0.500], [0.000, 0.000, 0.000]]
}

[5]
{
  "formula": "CuI2",
  "functional": "PBE",
  "state": "relaxed",
  "lattice": [[-1.579, -2.331, 2.516], [-0.209, -2.699, -2.632], [8.192, -2.967, 2.392]],
  "species": ["I", "I", "Cu"],
  "frac_coords": [[0.500, 0.500, 0.736], [0.500, 0.500, 0.264], [0.500, 0.500, 0.000]]
}

[6]
{
  "formula": "CuI",
  "functional": "PBE",
  "state": "relaxed",
  "e_ij_max_c_m2": 0.1,
  "lattice": [[14.107, -2.140, 0.000], [14.107, 2.140, 0.000], [13.783, 0.000, 3.692]],
  "species": ["Cu", "Cu", "I", "Cu", "I", "I", "Cu", "I"],
  "frac_coords": [[0.146, 0.146, 0.146], [0.313, 0.313, 0.313], [0.208, 0.208, 0.208], [0.563, 0.563, 0.563], [0.792, 0.792, 0.792], [0.375, 0.375, 0.375], [0.730, 0.730, 0.730], [0.625, 0.625, 0.625]]
}

| no. | uncorrected energy (eV per cell) | energy of formation from the pure elements (eV/f.u.) |
| --- | --- | --- |
| 1 | -5.9 | -0.7 |
| 2 | -9.5 | -0.8 |
| 3 | -10.8 | -0.2 |
| 4 | -5.5 | -0.2 |
| 5 | -6.9 | -0.5 |
| 6 | -23.6 | -0.7 |